(1)
A plane-wave DFT calculation with GGA+U was carried out for crystalline Rb2U2WO10 at its relaxed geometry.

Geometry as POSCAR:
```
Rb2U2WO10
1.0
8.4157 0.0000 0.0000
0.0000 29.0931 0.0000
-5.9200 0.0000 9.2173
Rb U W O
16 16 8 80
direct
0.0274 0.1216 0.1086
0.0274 0.3784 0.6086
0.0407 0.1017 0.5192
0.0407 0.3983 0.0192
0.0596 0.0134 0.8193
0.0596 0.4866 0.3193
0.0758 0.2445 0.9557
0.0758 0.2555 0.4557
0.9242 0.7445 0.5443
0.9242 0.7555 0.0443
0.9404 0.5134 0.6807
0.9404 0.9866 0.1807
0.9593 0.6017 0.9808
0.9593 0.8983 0.4808
0.9726 0.6216 0.3914
0.9726 0.8784 0.8914
0.4475 0.6677 0.7820
0.4475 0.8323 0.2820
0.4549 0.6861 0.1404
0.4549 0.8139 0.6404
0.4940 0.0981 0.0812
0.4940 0.4019 0.5812
0.4994 0.0680 0.4713
0.4994 0.4320 0.9713
0.5006 0.5680 0.0287
0.5006 0.9320 0.5287
0.5060 0.5981 0.4188
0.5060 0.9019 0.9188
0.5451 0.1861 0.3596
0.5451 0.3139 0.8596
0.5525 0.1677 0.7180
0.5525 0.3323 0.2180
0.3531 0.7102 0.4520
0.3531 0.7898 0.9520
0.4206 0.5322 0.6891
0.4206 0.9678 0.1891
0.5794 0.0322 0.8109
0.5794 0.4678 0.3109
0.6469 0.2102 0.0480
0.6469 0.2898 0.5480
0.1054 0.7093 0.3249
0.1054 0.7907 0.8249
0.1742 0.5446 0.5705
0.1742 0.9554 0.0705
0.1890 0.6625 0.6864
0.1890 0.8375 0.1864
0.1958 0.6784 0.0322
0.1958 0.8216 0.5322
0.2367 0.0676 0.3745
0.2367 0.4324 0.8745
0.2392 0.5636 0.9300
0.2392 0.9364 0.4300
0.2414 0.1125 0.9661
0.2414 0.3875 0.4661
0.2503 0.5839 0.3085
0.2503 0.9161 0.8085
0.2905 0.1991 0.2433
0.2905 0.3009 0.7433
0.2966 0.1771 0.6311
0.2966 0.3230 0.1311
0.3848 0.7338 0.6307
0.3848 0.7662 0.1307
0.4157 0.6518 0.5552
0.4157 0.8482 0.0552
0.4205 0.0277 0.1234
0.4205 0.4723 0.6234
0.4368 0.0556 0.8805
0.4368 0.4444 0.3805
0.4423 0.7320 0.9351
0.4423 0.7680 0.4351
0.4551 0.6808 0.3515
0.4551 0.8192 0.8515
0.4793 0.5050 0.8710
0.4793 0.9950 0.3710
0.4890 0.6433 0.9886
0.4890 0.8567 0.4886
0.4921 0.1098 0.2864
0.4921 0.3902 0.7864
0.4927 0.5884 0.8110
0.4927 0.9116 0.3110
0.5073 0.0884 0.6890
0.5073 0.4116 0.1890
0.5079 0.6098 0.2136
0.5079 0.8902 0.7136
0.5110 0.1433 0.5114
0.5110 0.3567 0.0114
0.5207 0.0050 0.6290
0.5207 0.4950 0.1290
0.5449 0.1808 0.1485
0.5449 0.3192 0.6485
0.5577 0.2320 0.5649
0.5577 0.2680 0.0649
0.5632 0.5556 0.6195
0.5632 0.9444 0.1195
0.5795 0.5277 0.3766
0.5795 0.9723 0.8766
0.5843 0.1518 0.9448
0.5843 0.3482 0.4448
0.6152 0.2338 0.8693
0.6152 0.2662 0.3693
0.7034 0.6770 0.8689
0.7034 0.8230 0.3689
0.7095 0.6991 0.2567
0.7095 0.8009 0.7567
0.7497 0.0839 0.1915
0.7497 0.4161 0.6915
0.7586 0.6125 0.5339
0.7586 0.8875 0.0339
0.7608 0.0636 0.5700
0.7608 0.4364 0.0700
0.7633 0.5676 0.1255
0.7633 0.9324 0.6255
0.8042 0.1784 0.4678
0.8042 0.3216 0.9678
0.8110 0.1625 0.8136
0.8110 0.3375 0.3136
0.8258 0.0446 0.9295
0.8258 0.4554 0.4295
0.8946 0.2093 0.1751
0.8946 0.2907 0.6751
```

Calculated values
Total moment, μB per formula unit: 0.007
SG: P2_1/c
Formation energy from the elements, meV/atom: -3026

---

(2)
A plane-wave DFT calculation with GGA+U was carried out for crystalline NiAg4P6H6O18 at its relaxed geometry.

Geometry as POSCAR:
```
NiAg4P6H6O18
1.0
6.6914 0.0000 0.0000
0.1112 8.0472 0.0000
2.5319 1.3047 8.7055
Ni Ag P H O
1 4 6 6 18
direct
0.0000 0.0000 0.0000
0.1887 0.3899 0.8581
0.3725 0.7245 0.4251
0.6275 0.2755 0.5749
0.8113 0.6101 0.1419
0.1525 0.2676 0.5154
0.2870 0.4441 0.1993
0.4907 0.1430 0.2878
0.5093 0.8570 0.7122
0.7130 0.5559 0.8007
0.8475 0.7324 0.4846
0.0493 0.9091 0.1512
0.0853 0.0097 0.1428
0.0879 0.1834 0.9637
0.9121 0.8166 0.0363
0.9147 0.9903 0.8572
0.9507 0.0909 0.8488
0.0601 0.7915 0.3877
0.1233 0.3935 0.3686
0.1587 0.4884 0.0884
0.2809 0.1180 0.4378
0.2864 0.3522 0.5964
0.3444 0.7600 0.6728
0.3964 0.2685 0.1659
0.4400 0.5736 0.2119
0.4690 0.0219 0.7673
0.5310 0.9781 0.2327
0.5600 0.4264 0.7881
0.6036 0.7315 0.8341
0.6556 0.2400 0.3272
0.7136 0.6478 0.4036
0.7191 0.8820 0.5622
0.8413 0.5116 0.9116
0.8767 0.6065 0.6314
0.9399 0.2085 0.6123
```

Calculated values
Total moment, μB per formula unit: 2.004
SG: P-1
Formation energy from the elements, meV/atom: -1558

---

(3)
A plane-wave DFT calculation with GGA+U was carried out for crystalline Mn3SnP6O24 at its relaxed geometry.

Geometry as POSCAR:
```
Mn3SnP6O24
1.0
4.2832 2.4729 7.0643
-4.2832 2.4729 7.0643
0.0000 -4.9458 7.0643
Mn Sn P O
3 1 6 24
direct
0.0000 0.0000 0.0000
0.2165 0.2165 0.2165
0.4999 0.4999 0.4999
0.7203 0.7203 0.7203
0.1174 0.3875 0.8236
0.3151 0.8977 0.6082
0.3875 0.8236 0.1174
0.6082 0.3151 0.8977
0.8236 0.1174 0.3875
0.8977 0.6082 0.3151
0.0662 0.2264 0.8512
0.0887 0.4411 0.2866
0.1238 0.9210 0.7769
0.1660 0.3557 0.9874
0.2264 0.8512 0.0662
0.2866 0.0887 0.4411
0.2877 0.4051 0.6341
0.3481 0.7277 0.5678
0.3557 0.9874 0.1660
0.4051 0.6341 0.2877
0.4411 0.2866 0.0887
0.4785 0.8767 0.6492
0.5678 0.3481 0.7277
0.5786 0.8049 0.9521
0.6341 0.2877 0.4051
0.6492 0.4785 0.8767
0.7277 0.5678 0.3481
0.7769 0.1238 0.9210
0.8049 0.9521 0.5786
0.8512 0.0662 0.2264
0.8767 0.6492 0.4785
0.9210 0.7769 0.1238
0.9521 0.5786 0.8049
0.9874 0.1660 0.3557
```

Calculated values
Total moment, μB per formula unit: 8.625
SG: R3
Formation energy from the elements, meV/atom: -2242

---

(4)
A plane-wave DFT calculation with GGA+U was carried out for crystalline LiCr2P2O8 at its relaxed geometry.

Geometry as POSCAR:
```
LiCr2P2O8
1.0
6.2444 0.0000 0.0000
1.0267 6.2811 0.0000
2.7014 0.3626 9.1378
Li Cr P O
2 4 4 16
direct
0.1723 0.4256 0.3280
0.8277 0.5744 0.6720
0.1653 0.8078 0.0467
0.4326 0.9833 0.2848
0.5674 0.0167 0.7152
0.8347 0.1922 0.9533
0.2265 0.1753 0.6142
0.3097 0.2791 0.0134
0.6903 0.7209 0.9866
0.7735 0.8247 0.3858
0.0076 0.7062 0.3097
0.1324 0.1361 0.0077
0.2302 0.1540 0.4508
0.2389 0.5095 0.9777
0.2793 0.9530 0.6936
0.3475 0.2479 0.1684
0.4342 0.2779 0.6214
0.4653 0.8122 0.1024
0.5347 0.1878 0.8976
0.5658 0.7221 0.3786
0.6525 0.7521 0.8316
0.7207 0.0470 0.3064
0.7611 0.4905 0.0223
0.7698 0.8460 0.5492
0.8676 0.8639 0.9923
0.9924 0.2938 0.6903
```

Calculated values
Total moment, μB per formula unit: 7.000
Relative energy among the computed polymorphs, meV/atom: 37
SG: P-1
Formation energy from the elements, meV/atom: -2500